[1]
! RbMgSbO3 | the Materials Project database | PBE-GGA | optimized geometry; values from VASP
&SYSTEM
  ibrav = 0, nat = 6, ntyp = 4
/
ATOMIC_SPECIES
Rb 85.47 Rb.upf
O 16.00 O.upf
Mg 24.30 Mg.upf
Sb 121.76 Sb.upf
ATOMIC_POSITIONS crystal
Rb 0.1058 0.8953 0.8953
O 0.0338 0.4954 0.4954
O 0.5068 0.4950 0.9673
O 0.5068 0.9673 0.4950
Mg 0.6826 0.3186 0.3186
Sb 0.4309 0.5701 0.5701
CELL_PARAMETERS angstrom
5.1404 -0.6942 -0.6942
-0.6965 5.1401 0.6926
-0.6965 0.6926 5.1401
! **Total energy after the MP2020 corrections**: -5.650 eV per atom
! **Space group**: R3m, No. 160
! **Crystal system**: trigonal
! **Relative energy among the computed polymorphs**: 0 meV/atom
! **Mass density**: 3.6 Mg/m³

---

[2]
! Rb4MgSe4O14 | the Materials Project database | PBE-GGA | optimized geometry; values from VASP
&SYSTEM
  ibrav = 0, nat = 23, ntyp = 4
/
ATOMIC_SPECIES
O 16.00 O.upf
Mg 24.30 Mg.upf
Se 78.96 Se.upf
Rb 85.47 Rb.upf
ATOMIC_POSITIONS crystal
O 0.9012 0.0988 0.2500
O 0.2438 0.4814 0.7220
O 0.0468 0.3413 0.0808
O 0.2351 0.0493 0.5891
O 0.5186 0.7562 0.7780
O 0.3526 0.6933 0.4406
Mg 0.5263 0.4737 0.2500
Se 0.8926 0.2994 0.1477
Se 0.3334 0.8319 0.6309
O 0.6587 0.9532 0.4192
O 0.7628 0.4826 0.3092
Rb 0.0330 0.6254 0.3326
O 0.1488 0.8512 0.7500
Rb 0.8809 0.4070 0.6999
O 0.9507 0.7649 0.9109
Se 0.7006 0.1074 0.3523
Se 0.1681 0.6666 0.8691
O 0.5174 0.2372 0.1908
O 0.3067 0.6474 0.0594
O 0.7159 0.3534 0.9816
Rb 0.3746 0.9670 0.1674
O 0.6466 0.2841 0.5184
Rb 0.5930 0.1191 0.8001
CELL_PARAMETERS angstrom
-2.7493 -2.2328 -7.8852
-6.8218 3.6179 -3.8851
5.2185 4.9409 -1.9138
! **Total energy after the MP2020 corrections**: -5.456 eV per atom
! **Space group**: C2, No. 5
! **Crystal system**: monoclinic
! **Relative energy among the computed polymorphs**: 56 meV/atom
! **Mass density**: 3.3 Mg/m³

---

[3]
! Rb4MgSe4O14 | the Materials Project database | PBE-GGA | optimized geometry; values from VASP
&SYSTEM
  ibrav = 0, nat = 23, ntyp = 4
/
ATOMIC_SPECIES
O 16.00 O.upf
Rb 85.47 Rb.upf
Se 78.96 Se.upf
Mg 24.30 Mg.upf
ATOMIC_POSITIONS crystal
O 0.9073 0.0270 0.2750
O 0.7766 0.8463 0.4623
O 0.5631 0.1047 0.2092
Rb 0.6794 0.5440 0.5775
O 0.3913 0.9143 0.7817
Se 0.1784 0.6459 0.8927
Se 0.7064 0.0601 0.3592
O 0.8074 0.4191 0.9207
Se 0.2191 0.9956 0.6529
O 0.6042 0.2515 0.4880
O 0.7966 0.4913 0.2503
O 0.2895 0.4157 0.8016
Rb 0.1810 0.4989 0.3708
O 0.1157 0.2359 0.0768
Rb 0.6602 0.0761 0.8245
Rb 0.4407 0.8452 0.1437
Se 0.8880 0.3102 0.1122
O 0.1058 0.2489 0.6349
O 0.9662 0.6759 0.9182
O 0.2716 0.6278 0.0728
O 0.0550 0.9594 0.7372
O 0.2966 0.8832 0.4753
Mg 0.0666 0.3812 0.8542
CELL_PARAMETERS angstrom
-4.2831 -5.7975 -4.7594
-7.9660 -0.6694 0.0806
-0.7995 5.2053 -6.2567
! **Total energy after the MP2020 corrections**: -5.489 eV per atom
! **Space group**: P1, No. 1
! **Crystal system**: triclinic
! **Relative energy among the computed polymorphs**: 22 meV/atom
! **Mass density**: 3.2 Mg/m³

---

Summary of total moment in μB/f.u.
0.00; 0.00; 0.00
(order as listed above)
Summary of ΔE_f in eV/atom
-2.058; -1.596; -1.630
(order as listed above)